Here is a relaxed structure of LiTiPO4F from the Materials Project database. Energies are from PBE.

a b c (Å): 5.250 5.441 7.444
angles (deg): 106.70 108.22 98.79
Atoms (fractional coordinates):
P 0.322 0.640 0.761
P 0.678 0.360 0.239
O 0.867 0.339 0.112
O 0.745 0.216 0.389
O 0.133 0.661 0.888
O 0.368 0.246 0.089
O 0.255 0.784 0.611
O 0.306 0.341 0.656
O 0.694 0.659 0.344
O 0.632 0.754 0.911
F 0.870 0.075 0.737
F 0.130 0.925 0.263
Ti 0.000 0.000 0.500
Ti 0.000 0.000 0.000
Li 0.732 0.385 0.814
Li 0.268 0.615 0.186

Raw total energy in eV per atom: -7.233
Calculated volume in Å³ per atom: 11.654
Symmetry: No. 2
Energy of formation from the pure elements in meV/atom: -3019
Magnetization in μB per cell: 2.00